Entry 1:
Below is a relaxed structure of Cr10Co4CuSe20, with properties calculated at the PBE level.

Cell: 55.8393 3.6636 6.3653 Å, 90.00 95.11 90.00°
Last column: nearest neighbours and their distance in Å.
Space group C2/m (No. 12)
One atom of each set of equivalent atoms:
Cr (0.0485, 0.0000, 0.0274) [4 per cell]  6 Se 2.48-2.63
Cr (0.0522, 0.5000, 0.5720) [4 per cell]  6 Se 2.51-2.64
Cr (0.1480, 0.5000, 0.6262) [4 per cell]  6 Se 2.50-2.62
Cr (0.1520, 0.0000, 0.1735) [4 per cell]  6 Se 2.50-2.62
Cr (0.2480, 0.0000, 0.2265) [4 per cell]  6 Se 2.50-2.62
Co (0.0999, 0.0000, 0.1010) [4 per cell]  6 Se 2.47-2.51
Co (0.2000, 0.5000, 0.6999) [4 per cell]  6 Se 2.48-2.51
Cu (0.0000, 0.5000, 0.5000) [2 per cell]  6 Se 2.54-2.61
Se (0.0238, 0.5000, 0.8592) [4 per cell]  3 Cr 2.48-2.53, 1 Cu 2.54
Se (0.0282, 0.0000, 0.3661) [4 per cell]  3 Cr 2.53-2.56, 2 Cu 2.61
Se (0.0754, 0.5000, 0.2290) [4 per cell]  2 Co 2.47, 3 Cr 2.63-2.64
Se (0.0773, 0.0000, 0.7488) [4 per cell]  1 Co 2.47, 3 Cr 2.50-2.51
Se (0.1229, 0.0000, 0.4513) [4 per cell]  1 Co 2.47, 3 Cr 2.50
Se (0.1256, 0.5000, 0.9709) [4 per cell]  2 Co 2.51, 3 Cr 2.62
Se (0.1744, 0.0000, 0.8292) [4 per cell]  2 Co 2.51, 3 Cr 2.62
Se (0.1771, 0.5000, 0.3484) [4 per cell]  1 Co 2.48, 3 Cr 2.50
Se (0.2229, 0.5000, 0.0515) [4 per cell]  1 Co 2.48, 3 Cr 2.50-2.51
Se (0.2256, 0.0000, 0.5705) [4 per cell]  2 Co 2.51, 3 Cr 2.62


Entry 2:
Below is a relaxed structure of CrFeCoNi, with properties calculated at the PBE level.

Cell: 4.3705 4.0126 5.0402 Å, 90.00 90.37 90.00°
Last column: nearest neighbours and their distance in Å.
Space group Pm (No. 6)
One atom of each set of equivalent atoms:
Cr (0.0000, 0.0000, 0.0000) [1 per cell]  4 Fe 2.47-2.56, 4 Co 2.48-2.49, 4 Ni 2.51-2.53
Cr (0.3269, 0.5000, 0.5024) [1 per cell]  4 Ni 2.48, 4 Fe 2.48-2.58, 4 Co 2.48-2.56
Fe (0.4908, 0.0000, 0.2496) [1 per cell]  2 Co 2.47, 4 Cr 2.48-2.56, 2 Fe 2.50, 4 Ni 2.51-2.53
Fe (0.8334, 0.5000, 0.2443) [1 per cell]  4 Cr 2.47-2.58, 2 Ni 2.49, 2 Fe 2.50, 4 Co 2.51-2.53
Co (0.3347, 0.5000, 0.9954) [1 per cell]  2 Ni 2.46, 4 Fe 2.47-2.53, 4 Cr 2.48-2.56, 2 Co 2.50-2.54
Co (0.8280, 0.5000, 0.7463) [1 per cell]  4 Ni 2.47, 4 Cr 2.49-2.51, 2 Co 2.50-2.54, 2 Fe 2.51-2.53
Ni (0.4995, 0.0000, 0.7521) [1 per cell]  4 Co 2.46-2.47, 4 Cr 2.48-2.52, 2 Fe 2.51-2.53, 2 Ni 2.51-2.54
Ni (0.9942, 0.0000, 0.5022) [1 per cell]  2 Co 2.47, 4 Cr 2.48-2.53, 4 Fe 2.49-2.53, 2 Ni 2.51-2.54

Output
E above lowest polymorph ... 0.0 meV per atom


Entry 3:
Below is a relaxed structure of CrFeCoNi, with properties calculated at the PBE level.

Cell: 9.9836 9.9871 9.9968 Å, 90.00 60.08 60.03°
Last column: nearest neighbours and their distance in Å.
Space group P1 (No. 1)
One atom of each set of equivalent atoms:
Cr (0.0000, 0.0000, 0.0000) [1 per cell]  2 Fe 2.45-2.51, 7 Co 2.46-2.52, 1 Ni 2.49, 2 Cr 2.51-2.53
Cr (0.9998, 0.4989, 0.0044) [1 per cell]  3 Fe 2.42-2.50, 3 Cr 2.43-2.56, 3 Co 2.46-2.51, 3 Ni 2.52-2.57
Cr (0.0026, 0.2427, 0.2356) [1 per cell]  3 Co 2.39-2.43, 5 Fe 2.45-2.60, 1 Ni 2.51, 3 Cr 2.51-2.61
Cr (0.0051, 0.7438, 0.2377) [1 per cell]  3 Ni 2.43-2.57, 2 Co 2.44-2.46, 4 Fe 2.45-2.52, 3 Cr 2.49-2.58
Cr (0.2503, 0.2532, 0.2513) [1 per cell]  1 Co 2.45, 4 Fe 2.46-2.51, 4 Ni 2.46-2.54, 3 Cr 2.56-2.61
Cr (0.2510, 0.0006, 0.7465) [1 per cell]  3 Cr 2.44-2.53, 6 Co 2.47-2.52, 2 Ni 2.48-2.49, 1 Fe 2.51
Cr (0.2520, 0.2505, 0.9906) [1 per cell]  4 Co 2.42-2.51, 5 Cr 2.43-2.60, 2 Ni 2.47-2.50, 1 Fe 2.52
Cr (0.2538, 0.4977, 0.7459) [1 per cell]  5 Co 2.46-2.50, 4 Ni 2.48-2.52, 2 Fe 2.49-2.52, 1 Cr 2.56
Cr (0.4943, 0.0002, 0.9932) [1 per cell]  3 Co 2.43-2.49, 3 Cr 2.45-2.56, 5 Ni 2.48-2.56, 1 Fe 2.57
Cr (0.4970, 0.9991, 0.5022) [1 per cell]  4 Cr 2.44-2.53, 3 Fe 2.48-2.54, 3 Ni 2.49-2.55, 2 Co 2.50-2.51
Cr (0.5049, 0.9980, 0.7426) [1 per cell]  5 Cr 2.44-2.51, 3 Co 2.47-2.54, 4 Ni 2.48-2.51
Cr (0.7477, 0.5014, 0.4978) [1 per cell]  6 Fe 2.45-2.52, 2 Cr 2.48-2.61, 2 Co 2.49, 2 Ni 2.49
Cr (0.7477, 0.7502, 0.4966) [1 per cell]  4 Fe 2.46-2.52, 5 Cr 2.47-2.55, 3 Ni 2.50-2.53
Cr (0.7489, 0.4994, 0.9970) [1 per cell]  4 Co 2.49-2.51, 3 Fe 2.50-2.56, 4 Ni 2.51-2.52, 1 Cr 2.54
Cr (0.7495, 0.9975, 0.2483) [1 per cell]  4 Fe 2.47-2.51, 3 Ni 2.48-2.50, 3 Cr 2.49-2.53, 2 Co 2.50-2.52
Cr (0.9992, 0.7505, 0.4984) [1 per cell]  5 Fe 2.49-2.51, 4 Ni 2.50-2.52, 1 Co 2.50, 2 Cr 2.52-2.58
Fe (0.0003, 0.2497, 0.4969) [1 per cell]  3 Fe 2.49-2.51, 1 Co 2.49, 5 Ni 2.50-2.52, 3 Cr 2.50-2.60
Fe (0.0000, 0.4994, 0.2460) [1 per cell]  7 Cr 2.42-2.55, 4 Fe 2.47-2.51, 1 Co 2.50
Fe (0.9996, 0.7489, 0.7468) [1 per cell]  5 Ni 2.48-2.52, 2 Cr 2.49-2.52, 3 Co 2.49-2.53, 2 Fe 2.52-2.53
Fe (0.9996, 0.9994, 0.4990) [1 per cell]  3 Co 2.48-2.51, 1 Cr 2.49, 4 Ni 2.49-2.52, 4 Fe 2.50-2.54
Fe (0.0024, 0.4997, 0.4957) [1 per cell]  4 Cr 2.46-2.52, 3 Fe 2.48-2.51, 5 Ni 2.49-2.51
Fe (0.0036, 0.9971, 0.2432) [1 per cell]  4 Cr 2.45-2.52, 3 Co 2.45-2.51, 3 Ni 2.48-2.50, 2 Fe 2.54
Fe (0.2482, 0.5018, 0.2470) [1 per cell]  3 Cr 2.47-2.50, 4 Fe 2.48-2.52, 3 Ni 2.50-2.51, 2 Co 2.51-2.53
Fe (0.2535, 0.7471, 0.4957) [1 per cell]  5 Co 2.47-2.53, 4 Fe 2.47-2.52, 2 Ni 2.49-2.51, 1 Cr 2.51
Fe (0.5004, 0.4992, 0.9940) [1 per cell]  5 Co 2.49-2.54, 4 Ni 2.49-2.52, 1 Cr 2.50, 2 Fe 2.51-2.54
Fe (0.4998, 0.7492, 0.4966) [1 per cell]  3 Fe 2.47-2.50, 4 Cr 2.48-2.51, 4 Co 2.49-2.51, 1 Ni 2.50
Fe (0.5019, 0.2509, 0.4950) [1 per cell]  4 Ni 2.48-2.50, 4 Co 2.48-2.55, 1 Fe 2.49, 3 Cr 2.49-2.54
Fe (0.5040, 0.4946, 0.2467) [1 per cell]  5 Co 2.46-2.51, 2 Ni 2.48-2.54, 4 Fe 2.49-2.54, 1 Cr 2.50
Fe (0.7480, 0.0026, 0.9978) [1 per cell]  4 Co 2.45-2.52, 4 Ni 2.48-2.52, 3 Cr 2.51-2.57, 1 Fe 2.53
Fe (0.7484, 0.4982, 0.2528) [1 per cell]  4 Cr 2.45-2.56, 4 Co 2.46-2.53, 4 Fe 2.48-2.52
Fe (0.7502, 0.2532, 0.4947) [1 per cell]  2 Cr 2.47-2.51, 3 Co 2.47-2.50, 4 Fe 2.49-2.54, 3 Ni 2.52
Fe (0.7512, 0.7493, 0.2493) [1 per cell]  5 Cr 2.45-2.52, 3 Fe 2.47-2.52, 3 Ni 2.51-2.52, 1 Co 2.53
Co (0.0007, 0.2484, 0.9973) [1 per cell]  6 Cr 2.39-2.51, 4 Co 2.47-2.48, 1 Ni 2.51, 1 Fe 2.53
Co (0.0032, 0.0009, 0.7469) [1 per cell]  2 Ni 2.46-2.50, 2 Cr 2.47-2.51, 4 Co 2.48-2.54, 4 Fe 2.50-2.53
Co (0.2469, 0.2512, 0.7510) [1 per cell]  6 Cr 2.42-2.51, 1 Co 2.48, 4 Ni 2.48-2.52, 1 Fe 2.55
Co (0.2485, 0.0007, 0.9976) [1 per cell]  6 Cr 2.40-2.54, 1 Fe 2.47, 3 Co 2.48-2.50, 2 Ni 2.49-2.51
Co (0.2476, 0.7522, 0.9978) [1 per cell]  2 Fe 2.45-2.51, 2 Cr 2.46, 3 Ni 2.48-2.50, 5 Co 2.49-2.52
Co (0.2503, 0.4988, 0.9952) [1 per cell]  4 Cr 2.44-2.48, 3 Fe 2.49-2.51, 2 Co 2.49-2.52, 3 Ni 2.49-2.51
Co (0.2507, 0.7493, 0.7470) [1 per cell]  4 Co 2.47-2.49, 2 Ni 2.48-2.49, 3 Fe 2.50-2.51, 3 Cr 2.50-2.52
Co (0.2506, 0.9987, 0.4946) [1 per cell]  4 Fe 2.48-2.50, 2 Co 2.49-2.50, 4 Ni 2.49-2.50, 2 Cr 2.50-2.52
Co (0.4973, 0.7511, 0.9990) [1 per cell]  6 Ni 2.47-2.53, 2 Cr 2.47-2.50, 3 Co 2.48-2.50, 1 Fe 2.50
Co (0.4978, 0.5011, 0.7464) [1 per cell]  2 Cr 2.46-2.49, 4 Co 2.47-2.52, 2 Fe 2.49-2.50, 4 Ni 2.49-2.53
Co (0.4993, 0.5001, 0.4977) [1 per cell]  6 Fe 2.46-2.49, 3 Co 2.48-2.53, 2 Cr 2.48-2.49, 1 Ni 2.49
Co (0.5006, 0.7475, 0.2456) [1 per cell]  4 Ni 2.47-2.50, 2 Co 2.48-2.50, 1 Cr 2.49, 5 Fe 2.49-2.53
Co (0.5029, 0.2459, 0.2433) [1 per cell]  4 Fe 2.45-2.53, 2 Cr 2.45-2.50, 4 Ni 2.47-2.52, 2 Co 2.49-2.51
Co (0.7486, 0.9993, 0.7493) [1 per cell]  3 Cr 2.47-2.50, 3 Fe 2.48-2.51, 5 Ni 2.50-2.53, 1 Co 2.54
Co (0.7527, 0.2481, 0.2435) [1 per cell]  3 Cr 2.43-2.52, 5 Fe 2.46-2.51, 4 Co 2.46-2.53
Co (0.7537, 0.2464, 0.9969) [1 per cell]  4 Co 2.46-2.49, 3 Fe 2.46-2.54, 2 Cr 2.48-2.50, 3 Ni 2.50-2.52
Ni (0.0006, 0.7504, 0.9967) [1 per cell]  5 Cr 2.43-2.52, 3 Co 2.48-2.50, 1 Ni 2.50, 3 Fe 2.50-2.52
Ni (0.0018, 0.2476, 0.7458) [1 per cell]  5 Co 2.46-2.51, 2 Cr 2.48-2.52, 1 Fe 2.50, 4 Ni 2.50-2.52
Ni (0.0017, 0.4985, 0.7461) [1 per cell]  1 Co 2.48, 2 Fe 2.49-2.50, 6 Ni 2.49-2.52, 3 Cr 2.51-2.57
Ni (0.2514, 0.7502, 0.2458) [1 per cell]  3 Co 2.47-2.50, 1 Ni 2.48, 6 Fe 2.48-2.54, 2 Cr 2.52-2.53
Ni (0.2508, 0.9987, 0.2452) [1 per cell]  4 Co 2.47-2.50, 2 Ni 2.48-2.50, 3 Fe 2.49-2.52, 3 Cr 2.49-2.54
Ni (0.2531, 0.2472, 0.4959) [1 per cell]  2 Cr 2.46-2.49, 3 Co 2.49-2.52, 3 Fe 2.50-2.51, 4 Ni 2.50-2.51
Ni (0.2527, 0.4978, 0.4953) [1 per cell]  6 Fe 2.48-2.52, 2 Co 2.49-2.52, 2 Ni 2.50-2.51, 2 Cr 2.51
Ni (0.4987, 0.2506, 0.9980) [1 per cell]  4 Co 2.47-2.52, 3 Fe 2.48-2.50, 3 Cr 2.50-2.52, 2 Ni 2.50-2.51
Ni (0.4986, 0.7500, 0.7469) [1 per cell]  5 Co 2.48-2.51, 4 Cr 2.49-2.51, 1 Fe 2.50, 2 Ni 2.50-2.51
Ni (0.5017, 0.2482, 0.7449) [1 per cell]  3 Cr 2.47-2.48, 3 Ni 2.49-2.51, 2 Fe 2.50-2.52, 4 Co 2.50-2.51
Ni (0.5016, 0.9972, 0.2453) [1 per cell]  3 Ni 2.47-2.51, 3 Co 2.49-2.50, 4 Cr 2.49-2.56, 2 Fe 2.50-2.51
Ni (0.7494, 0.7504, 0.9977) [1 per cell]  4 Ni 2.47-2.52, 3 Fe 2.50-2.52, 2 Co 2.50-2.51, 3 Cr 2.51-2.55
Ni (0.7503, 0.2486, 0.7471) [1 per cell]  4 Fe 2.49-2.52, 4 Ni 2.49-2.51, 4 Co 2.50-2.53
Ni (0.7500, 0.7486, 0.7488) [1 per cell]  4 Ni 2.48-2.51, 2 Fe 2.48-2.51, 4 Cr 2.48-2.53, 2 Co 2.50
Ni (0.7506, 0.5001, 0.7455) [1 per cell]  5 Ni 2.48-2.52, 2 Cr 2.49-2.51, 3 Fe 2.50-2.51, 2 Co 2.51-2.53
Ni (0.7520, 0.0000, 0.4948) [1 per cell]  6 Cr 2.48-2.57, 4 Fe 2.49-2.52, 1 Ni 2.49, 1 Co 2.53

Output
E above lowest polymorph ... 128.1 meV per atom


Entry 4:
Below is a relaxed structure of Mn4CrGa5Co10, with properties calculated at the PBE level.

Cell: 4.0439 4.0439 49.5315 Å, 90.00 90.00 120.00°
Last column: nearest neighbours and their distance in Å.
Space group R-3m (No. 166, hexagonal axes)
One atom of each set of equivalent atoms:
Mn (0.0000, 0.0000, 0.0997) [6 per cell]  8 Co 2.46-2.49
Mn (0.0000, 0.0000, 0.3000) [6 per cell]  8 Co 2.47-2.48
Cr (0.0000, 0.0000, 0.5000) [3 per cell]  8 Co 2.46-2.48
Ga (0.0000, 0.0000, 0.0000) [3 per cell]  8 Co 2.48
Ga (0.0000, 0.0000, 0.1999) [6 per cell]  8 Co 2.47-2.48
Ga (0.0000, 0.0000, 0.3999) [6 per cell]  8 Co 2.47-2.50
Co (0.0000, 0.0000, 0.0500) [6 per cell]  4 Mn 2.46-2.48, 4 Ga 2.47-2.48
Co (0.0000, 0.0000, 0.1500) [6 per cell]  4 Ga 2.47-2.48, 3 Cr 2.48, 1 Mn 2.49
Co (0.0000, 0.0000, 0.2500) [6 per cell]  4 Mn 2.47-2.48, 4 Ga 2.48
Co (0.0000, 0.0000, 0.3500) [6 per cell]  4 Ga 2.47-2.48, 4 Mn 2.47-2.48
Co (0.0000, 0.0000, 0.4504) [6 per cell]  1 Cr 2.46, 4 Ga 2.47-2.50, 3 Mn 2.49


Entry 5:
Below is a relaxed structure of Cr12Ga2Co3S24, with properties calculated at the PBE level.

Cell: 7.0049 7.0049 29.6309 Å, 90.00 90.00 90.00°
Last column: nearest neighbours and their distance in Å.
Space group I-4m2 (No. 119)
One atom of each set of equivalent atoms:
Cr (0.0000, 0.2360, 0.2071) [8 per cell]  6 S 2.33-2.46
Cr (0.0000, 0.2435, 0.8741) [8 per cell]  6 S 2.35-2.44
Cr (0.0000, 0.2498, 0.5406) [8 per cell]  6 S 2.37-2.41
Ga (0.0000, 0.0000, 0.3324) [4 per cell]  4 S 2.30-2.33
Co (0.0000, 0.0000, 0.0000) [2 per cell]  4 S 2.26
Co (0.0000, 0.5000, 0.0823) [4 per cell]  4 S 2.25-2.26
S (0.0000, 0.2337, 0.7950) [8 per cell]  3 Cr 2.33-2.35
S (0.0000, 0.2349, 0.4607) [8 per cell]  1 Co 2.25, 3 Cr 2.37-2.40
S (0.0000, 0.2376, 0.1267) [8 per cell]  1 Co 2.26, 3 Cr 2.38
S (0.0000, 0.2639, 0.9563) [8 per cell]  1 Co 2.26, 3 Cr 2.41-2.44
S (0.0000, 0.2696, 0.2883) [8 per cell]  1 Ga 2.30, 3 Cr 2.42-2.46
S (0.0000, 0.2697, 0.6218) [8 per cell]  1 Ga 2.33, 3 Cr 2.41-2.42


Entry 6:
Below is a relaxed structure of Mn4CrCo10Ge5, with properties calculated at the PBE level.

Cell: 4.0662 4.0662 49.3006 Å, 90.00 90.00 120.00°
Last column: nearest neighbours and their distance in Å.
Space group R-3m (No. 166, hexagonal axes)
One atom of each set of equivalent atoms:
Mn (0.0000, 0.0000, 0.0998) [6 per cell]  8 Co 2.46-2.49
Mn (0.0000, 0.0000, 0.3001) [6 per cell]  8 Co 2.47-2.49
Cr (0.0000, 0.0000, 0.5000) [3 per cell]  8 Co 2.47-2.48
Co (0.0000, 0.0000, 0.0499) [6 per cell]  4 Mn 2.46-2.49, 4 Ge 2.46-2.49
Co (0.0000, 0.0000, 0.1503) [6 per cell]  4 Ge 2.44-2.49, 3 Cr 2.48, 1 Mn 2.49
Co (0.0000, 0.0000, 0.2500) [6 per cell]  4 Mn 2.47-2.48, 4 Ge 2.48-2.49
Co (0.0000, 0.0000, 0.3501) [6 per cell]  4 Ge 2.46-2.49, 4 Mn 2.47-2.49
Co (0.0000, 0.0000, 0.4499) [6 per cell]  4 Ge 2.46-2.49, 1 Cr 2.47, 3 Mn 2.49
Ge (0.0000, 0.0000, 0.0000) [3 per cell]  8 Co 2.46-2.49
Ge (0.0000, 0.0000, 0.1998) [6 per cell]  8 Co 2.44-2.49
Ge (0.0000, 0.0000, 0.3999) [6 per cell]  8 Co 2.46-2.49


no.,E (eV per atom),ΔE_f (eV/atom)
1,-6.057,-0.642
2,-7.741,0.012
3,-7.613,0.140
4,-6.843,-0.217
5,-6.544,-0.924
6,-7.260,-0.235